LiVS2O8 | the Materials Project database | GGA+U | optimized geometry; theoretical density = 2.838 g/cm³; energy of formation from the pure elements = -2.134 eV/atom; energy with MP2020 corrections = -675.68 eV per cell; energy above the lowest structure with this stoichiometry = 4 meV/atom; V = 1170.4 Å³ per cell
1.0
9.109 0.000 0.000
0.022 9.271 0.000
0.035 0.091 13.859
Li V S O
8 8 16 64
direct
0.000 0.000 0.000
0.008 0.487 0.251
0.281 0.811 0.000
0.326 0.815 0.501
0.339 0.324 0.747
0.519 0.539 0.246
0.607 0.001 0.499
0.847 0.712 0.752
0.157 0.912 0.250
0.160 0.408 0.001
0.447 0.404 0.498
0.449 0.906 0.750
0.658 0.622 0.001
0.659 0.125 0.248
0.947 0.131 0.747
0.949 0.626 0.498
0.118 0.846 0.652
0.122 0.345 0.594
0.238 0.108 0.885
0.243 0.612 0.363
0.368 0.108 0.386
0.370 0.607 0.864
0.485 0.843 0.151
0.489 0.339 0.095
0.617 0.190 0.653
0.618 0.689 0.598
0.738 0.922 0.882
0.742 0.419 0.366
0.867 0.922 0.383
0.871 0.425 0.865
0.986 0.193 0.150
0.989 0.694 0.098
0.023 0.241 0.050
0.023 0.961 0.359
0.025 0.744 0.198
0.027 0.460 0.893
0.045 0.285 0.225
0.049 0.041 0.155
0.050 0.542 0.094
0.055 0.788 0.024
0.059 0.752 0.726
0.062 0.997 0.659
0.064 0.498 0.587
0.071 0.252 0.519
0.079 0.074 0.861
0.086 0.569 0.382
0.089 0.293 0.695
0.089 0.793 0.552
0.251 0.774 0.351
0.253 0.267 0.901
0.276 0.021 0.968
0.276 0.587 0.953
0.278 0.080 0.300
0.286 0.851 0.655
0.291 0.357 0.597
0.297 0.535 0.280
0.317 0.857 0.151
0.323 0.355 0.093
0.323 0.526 0.782
0.327 0.082 0.796
0.328 0.585 0.454
0.331 0.022 0.471
0.355 0.267 0.405
0.359 0.769 0.848
0.516 0.787 0.052
0.524 0.290 0.196
0.524 0.568 0.891
0.526 0.072 0.362
0.536 0.748 0.227
0.546 0.252 0.019
0.548 0.991 0.158
0.550 0.280 0.725
0.550 0.495 0.095
0.557 0.789 0.525
0.560 0.541 0.586
0.563 0.034 0.657
0.582 0.235 0.551
0.583 0.459 0.385
0.583 0.963 0.859
0.585 0.739 0.698
0.745 0.760 0.897
0.749 0.260 0.349
0.777 0.952 0.296
0.779 0.454 0.952
0.781 0.186 0.659
0.784 0.685 0.594
0.790 0.500 0.281
0.791 0.999 0.966
0.817 0.998 0.468
0.823 0.181 0.154
0.827 0.452 0.454
0.827 0.688 0.090
0.830 0.947 0.793
0.831 0.511 0.782
0.861 0.267 0.845
0.862 0.761 0.399

=====

Li3Fe4B4O12 | the Materials Project database | GGA+U | optimized geometry; theoretical density = 3.270 g/cm³; energy of formation from the pure elements = -2.300 eV/atom; energy with MP2020 corrections = -357.19 eV per cell; energy above the lowest structure with this stoichiometry = 6 meV/atom; V = 486.9 Å³ per cell
1.0
5.238 0.000 0.000
0.096 9.037 0.000
2.382 4.458 10.287
Li Fe B O
6 8 8 24
direct
0.000 0.000 0.000
0.063 0.407 0.235
0.251 0.269 0.489
0.323 0.629 0.732
0.560 0.896 0.238
0.812 0.133 0.735
0.041 0.706 0.276
0.248 0.910 0.512
0.301 0.280 0.773
0.481 0.821 0.023
0.550 0.214 0.272
0.732 0.427 0.519
0.797 0.789 0.764
0.991 0.331 0.023
0.050 0.046 0.262
0.237 0.569 0.527
0.282 0.948 0.775
0.499 0.160 0.025
0.536 0.540 0.274
0.740 0.079 0.531
0.793 0.453 0.779
0.984 0.667 0.019
0.026 0.591 0.469
0.031 0.432 0.823
0.086 0.519 0.045
0.086 0.775 0.060
0.135 0.070 0.790
0.185 0.834 0.739
0.255 0.186 0.989
0.285 0.022 0.303
0.336 0.415 0.566
0.347 0.688 0.549
0.383 0.405 0.292
0.441 0.693 0.232
0.510 0.099 0.486
0.533 0.937 0.801
0.618 0.271 0.056
0.619 0.022 0.032
0.667 0.590 0.767
0.697 0.337 0.745
0.779 0.707 0.956
0.780 0.521 0.303
0.842 0.927 0.573
0.872 0.204 0.540
0.908 0.926 0.255
0.959 0.204 0.224

=====

FeOF | the Materials Project database | GGA+U | optimized geometry; theoretical density = 4.320 g/cm³; energy of formation from the pure elements = -2.037 eV/atom; energy with MP2020 corrections = -171.56 eV per cell; V = 279.3 Å³ per cell
1.0
9.488 0.000 0.000
0.000 3.092 0.000
-0.091 0.000 9.521
Fe O F
8 8 8
direct
0.000 0.000 0.000
0.019 0.000 0.498
0.260 0.500 0.723
0.300 0.500 0.240
0.499 0.000 0.502
0.519 0.000 0.995
0.763 0.500 0.774
0.795 0.500 0.257
0.163 0.000 0.642
0.369 0.000 0.342
0.421 0.500 0.598
0.424 0.500 0.087
0.612 0.500 0.900
0.870 0.000 0.841
0.875 0.000 0.355
0.925 0.500 0.097
0.117 0.500 0.396
0.120 0.500 0.899
0.173 0.000 0.145
0.355 0.000 0.838
0.620 0.500 0.404
0.673 0.000 0.646
0.677 0.000 0.162
0.919 0.500 0.594